Record 1
Entry from the Materials Project: a geometry-optimized DyCdPd2 structure (PBE).

Cell lengths 4.802, 4.802, 4.802 Å; angles 60.00, 60.00, 60.00 degrees
Atoms (fractional coordinates):
Dy1 0.000 0.000 0.000
Cd1 0.500 0.500 0.500
Pd1 0.250 0.250 0.250
Pd2 0.750 0.750 0.750

## Properties
total energy	-4.71	eV/atom
ΔE_f	-0.737	eV per atom

Record 2
Entry from the Materials Project: a geometry-optimized MgAlSi4O15 structure (PBE).

Cell lengths 18.235, 5.366, 12.846 Å; angles 90.00, 90.00, 90.00 degrees
Atoms (fractional coordinates):
Mg1 0.096 0.000 0.000
Mg2 0.404 0.000 0.500
Mg3 0.596 0.000 0.500
Mg4 0.904 0.000 0.000
Al1 0.157 0.500 0.000
Al2 0.343 0.500 0.500
Al3 0.657 0.500 0.500
Al4 0.843 0.500 0.000
Si1 0.086 0.310 0.215
Si2 0.086 0.690 0.785
Si3 0.165 0.199 0.784
Si4 0.165 0.801 0.216
Si5 0.335 0.199 0.716
Si6 0.335 0.801 0.284
Si7 0.414 0.310 0.285
Si8 0.414 0.690 0.715
Si9 0.586 0.310 0.285
Si10 0.586 0.690 0.715
Si11 0.665 0.199 0.716
Si12 0.665 0.801 0.284
Si13 0.835 0.199 0.784
Si14 0.835 0.801 0.216
Si15 0.914 0.310 0.215
Si16 0.914 0.690 0.785
O1 0.000 0.104 0.926
O2 0.000 0.328 0.249
O3 0.000 0.672 0.751
O4 0.000 0.896 0.074
O5 0.034 0.000 0.500
O6 0.034 0.500 0.500
O7 0.097 0.318 0.088
O8 0.097 0.682 0.912
O9 0.119 0.044 0.257
O10 0.119 0.956 0.743
O11 0.130 0.454 0.733
O12 0.130 0.546 0.267
O13 0.160 0.223 0.911
O14 0.160 0.777 0.089
O15 0.248 0.363 0.058
O16 0.248 0.637 0.942
O17 0.250 0.167 0.750
O18 0.250 0.833 0.250
O19 0.252 0.363 0.442
O20 0.252 0.637 0.558
O21 0.340 0.223 0.589
O22 0.340 0.777 0.411
O23 0.370 0.454 0.767
O24 0.370 0.546 0.233
O25 0.381 0.044 0.243
O26 0.381 0.956 0.757
O27 0.403 0.318 0.412
O28 0.403 0.682 0.588
O29 0.466 0.000 0.000
O30 0.466 0.500 0.000
O31 0.500 0.104 0.574
O32 0.500 0.328 0.251
O33 0.500 0.672 0.749
O34 0.500 0.896 0.426
O35 0.534 0.000 0.000
O36 0.534 0.500 0.000
O37 0.597 0.318 0.412
O38 0.597 0.682 0.588
O39 0.619 0.044 0.243
O40 0.619 0.956 0.757
O41 0.630 0.454 0.767
O42 0.630 0.546 0.233
O43 0.660 0.223 0.589
O44 0.660 0.777 0.411
O45 0.748 0.363 0.442
O46 0.748 0.637 0.558
O47 0.750 0.167 0.750
O48 0.750 0.833 0.250
O49 0.752 0.363 0.058
O50 0.752 0.637 0.942
O51 0.840 0.223 0.911
O52 0.840 0.777 0.089
O53 0.870 0.454 0.733
O54 0.870 0.546 0.267
O55 0.881 0.044 0.257
O56 0.881 0.956 0.743
O57 0.903 0.318 0.088
O58 0.903 0.682 0.912
O59 0.966 0.000 0.500
O60 0.966 0.500 0.500

## Properties
total energy	-6.76	eV/atom
ΔE_f	-2.049	eV per atom
total magnetic moment	0.233	μB/atom
total energy after the MP2020 corrections	-6.87	eV/atom
energy above the lowest structure with this stoichiometry	0	meV/atom

Q: Number 2 is which compound?
A: MgAlSi4O15

Q: Which of these has the highest ΔE_f?
A: DyCdPd2

Q: The lowest ΔE_f belongs to which entry?
A: MgAlSi4O15